Entry 1:
DFT (r²SCAN) results for crystalline CaGe2O5 at its relaxed geometry.

- Total moment: 0.0 Bohr magnetons per cell
- Energy: -10.38 eV per atom
- Density: 5.05 g cm⁻³

a = 5.733 Å, b = 7.322 Å, c = 8.306 Å
α = 90.00°, β = 90.00°, γ = 90.00°
Element x y z (fractional)
O (0.208, 0.000, 0.500)
Ge (0.253, 0.500, 0.500)
Ge (0.000, 0.891, 0.646)
O (0.500, 0.843, 0.055)
O (0.208, 0.500, 0.000)
O (0.500, 0.343, 0.445)
O (0.240, 0.606, 0.293)
O (0.240, 0.894, 0.793)
O (0.760, 0.606, 0.293)
Ge (0.747, 0.500, 0.500)
O (0.500, 0.157, 0.945)
O (0.240, 0.106, 0.207)
Ca (0.500, 0.865, 0.334)
Ca (0.500, 0.135, 0.666)
Ge (0.000, 0.109, 0.354)
Ge (0.747, 0.000, 0.000)
O (0.000, 0.656, 0.572)
O (0.000, 0.344, 0.428)
Ca (0.500, 0.365, 0.166)
O (0.000, 0.156, 0.928)
Ca (0.500, 0.635, 0.834)
O (0.240, 0.394, 0.707)
O (0.760, 0.106, 0.207)
O (0.760, 0.394, 0.707)
Ge (0.000, 0.391, 0.854)
Ge (0.253, 0.000, 0.000)
O (0.792, 0.000, 0.500)
O (0.000, 0.844, 0.072)
O (0.792, 0.500, 0.000)
Ge (0.000, 0.609, 0.146)
O (0.500, 0.657, 0.555)
O (0.760, 0.894, 0.793)

=====

Entry 2:
DFT (r²SCAN) results for crystalline CaGe2O5 at its relaxed geometry.

- Total moment: 0.0 Bohr magnetons per cell
- Energy: -10.38 eV per atom
- Density: 4.81 g cm⁻³

a = 5.491 Å, b = 5.491 Å, c = 6.896 Å
α = 76.39°, β = 76.39°, γ = 106.60°
Element x y z (fractional)
Ge (0.315, 0.685, 0.250)
O (0.634, 0.753, 0.073)
O (0.753, 0.634, 0.573)
O (0.097, 0.693, 0.101)
O (0.366, 0.247, 0.927)
Ca (0.671, 0.329, 0.250)
O (0.693, 0.097, 0.601)
O (0.903, 0.307, 0.899)
Ge (0.000, 0.000, 0.500)
Ge (0.685, 0.315, 0.750)
Ca (0.329, 0.671, 0.750)
Ge (0.000, 0.000, 0.000)
O (0.307, 0.903, 0.399)
O (0.069, 0.931, 0.750)
O (0.247, 0.366, 0.427)
O (0.931, 0.069, 0.250)